First-principles (meta-GGA r2SCAN) data for an optimized crystal structure of VAsO5, as listed in the Materials Project.

## Properties
Density   4.04 Mg/m³
E above lowest polymorph   4 meV/atom
Crystal system   monoclinic
Energy of formation from the pure elements   -1.829 eV/atom
E_tot   -10.21 eV/atom

Geometry as POSCAR:
```
VAsO5
1.0
6.341 0.000 0.000
0.000 8.383 0.000
-6.317 0.000 6.364
V As O
4 4 20
Direct
0.124 0.175 0.158
0.124 0.325 0.658
0.876 0.675 0.342
0.876 0.825 0.842
0.377 0.748 0.842
0.377 0.752 0.342
0.623 0.248 0.658
0.623 0.252 0.158
0.109 0.138 0.640
0.109 0.362 0.140
0.126 0.619 0.640
0.126 0.881 0.140
0.218 0.633 0.392
0.218 0.867 0.892
0.349 0.138 0.442
0.349 0.362 0.942
0.466 0.134 0.212
0.466 0.366 0.712
0.534 0.634 0.288
0.534 0.866 0.788
0.651 0.638 0.058
0.651 0.862 0.558
0.782 0.133 0.108
0.782 0.367 0.608
0.874 0.119 0.860
0.874 0.381 0.360
0.891 0.638 0.860
0.891 0.862 0.360
```

First-principles (meta-GGA r2SCAN) data for an optimized crystal structure of SiC, as listed in the Materials Project.

## Properties
Density   3.23 Mg/m³
E above lowest polymorph   4 meV/atom
Crystal system   hexagonal
Energy of formation from the pure elements   -0.302 eV/atom
E_tot   -9.66 eV/atom

Geometry as POSCAR:
```
SiC
1.0
3.074 0.000 0.000
-1.537 2.662 0.000
0.000 0.000 5.045
Si C
2 2
Direct
0.333 0.667 0.000
0.667 0.333 0.500
0.333 0.667 0.376
0.667 0.333 0.876
```

First-principles (meta-GGA r2SCAN) data for an optimized crystal structure of NdVO4, as listed in the Materials Project.

## Properties
Density   4.93 Mg/m³
Crystal system   tetragonal
Energy of formation from the pure elements   -3.243 eV/atom
E_tot   -14.48 eV/atom

Geometry as POSCAR:
```
NdVO4
1.0
-3.681 3.681 3.225
3.681 -3.681 3.225
3.681 3.681 -3.225
Nd V O
2 2 8
Direct
0.375 0.625 0.750
0.625 0.375 0.250
0.125 0.875 0.250
0.875 0.125 0.750
0.136 0.705 0.430
0.225 0.295 0.930
0.295 0.225 0.430
0.295 0.864 0.070
0.705 0.136 0.930
0.705 0.775 0.570
0.775 0.705 0.070
0.864 0.295 0.570
```

First-principles (meta-GGA r2SCAN) data for an optimized crystal structure of LiZrPt2, as listed in the Materials Project.

## Properties
Density   12.43 Mg/m³
Crystal system   cubic
Energy of formation from the pure elements   -0.963 eV/atom
E_tot   -32.99 eV/atom

Geometry as POSCAR:
```
LiZrPt2
1.0
0.000 3.195 3.195
3.195 0.000 3.195
3.195 3.195 0.000
Li Zr Pt
1 1 2
Direct
0.000 0.000 0.000
0.500 0.500 0.500
0.250 0.250 0.250
0.750 0.750 0.750
```

First-principles (meta-GGA r2SCAN) data for an optimized crystal structure of Nd14Ag51, as listed in the Materials Project.

## Properties
Density   9.24 Mg/m³
Crystal system   hexagonal
Energy of formation from the pure elements   -0.254 eV/atom
E_tot   -23.35 eV/atom

Geometry as POSCAR:
```
Nd14Ag51
1.0
12.838 0.000 0.000
-6.419 11.118 0.000
0.000 0.000 9.469
Nd Ag
14 51
Direct
0.000 0.000 0.197
0.000 0.000 0.803
0.113 0.379 0.500
0.143 0.670 0.000
0.266 0.887 0.500
0.330 0.473 0.000
0.400 0.284 0.500
0.469 0.141 0.000
0.527 0.857 0.000
0.621 0.734 0.500
0.672 0.531 0.000
0.716 0.116 0.500
0.859 0.328 0.000
0.884 0.600 0.500
0.058 0.237 0.000
0.073 0.802 0.259
0.073 0.802 0.741
0.104 0.435 0.171
0.104 0.435 0.829
0.116 0.617 0.348
0.116 0.617 0.652
0.134 0.115 0.500
0.179 0.942 0.000
0.198 0.270 0.259
0.198 0.270 0.741
0.240 0.181 0.000
0.266 0.076 0.265
0.266 0.076 0.735
0.331 0.896 0.171
0.331 0.896 0.829
0.333 0.667 0.208
0.333 0.667 0.500
0.333 0.667 0.792
0.383 0.499 0.348
0.383 0.499 0.652
0.440 0.336 0.168
0.440 0.336 0.832
0.492 0.114 0.347
0.492 0.114 0.653
0.501 0.884 0.348
0.501 0.884 0.652
0.565 0.669 0.171
0.565 0.669 0.829
0.622 0.508 0.347
0.622 0.508 0.653
0.664 0.104 0.168
0.664 0.104 0.832
0.667 0.333 0.208
0.667 0.333 0.500
0.667 0.333 0.792
0.730 0.927 0.259
0.730 0.927 0.741
0.763 0.821 0.000
0.811 0.734 0.265
0.811 0.734 0.735
0.819 0.059 0.000
0.885 0.019 0.500
0.886 0.378 0.347
0.886 0.378 0.653
0.896 0.560 0.168
0.896 0.560 0.832
0.924 0.189 0.265
0.924 0.189 0.735
0.941 0.760 0.000
0.981 0.866 0.500
```

First-principles (meta-GGA r2SCAN) data for an optimized crystal structure of UNi2, as listed in the Materials Project.

## Properties
Density   13.83 Mg/m³
Crystal system   hexagonal
Energy of formation from the pure elements   -0.236 eV/atom
E_tot   -34.87 eV/atom

Geometry as POSCAR:
```
UNi2
1.0
4.922 0.000 0.000
-2.461 4.263 0.000
0.000 0.000 8.136
U Ni
4 8
Direct
0.333 0.667 0.058
0.333 0.667 0.442
0.667 0.333 0.558
0.667 0.333 0.942
0.000 0.000 0.000
0.000 0.000 0.500
0.166 0.331 0.750
0.166 0.834 0.750
0.331 0.166 0.250
0.669 0.834 0.750
0.834 0.166 0.250
0.834 0.669 0.250
```